Entry one
A relaxed BaLa3TiCr3O12 crystal. Source: Materials Project, functional PBE+U.

```
BaLa3TiCr3O12
1.0
2.809 1.622 4.587
-5.584 -3.224 4.560
2.768 -11.243 2.280
O La Cr Ti Ba
24 6 6 2 2
Cartesian
1.389 -12.039 10.286 O
-0.085 -11.221 5.641 O
1.378 -7.221 3.421 O
4.192 -8.752 5.786 O
0.077 -1.624 5.786 O
-2.715 -3.236 8.066 O
-1.330 -4.125 5.713 O
-2.797 -6.439 5.701 O
-1.391 -7.224 10.286 O
1.407 -4.012 5.725 O
-1.407 -2.482 3.361 O
-1.385 -5.624 8.005 O
2.789 -6.407 5.725 O
-1.469 -10.332 7.993 O
2.708 -9.609 3.361 O
-1.414 -8.834 5.701 O
-4.200 -4.094 5.641 O
-0.003 -8.019 8.005 O
1.400 -10.364 8.065 O
1.462 -2.513 3.433 O
-0.004 -4.826 3.421 O
1.323 -8.720 5.713 O
-1.408 -7.234 3.420 O
4.181 -10.427 8.007 O
-0.037 -9.569 10.286 La
-0.004 -6.423 5.713 La
0.047 -3.266 8.007 La
2.839 -1.654 5.727 La
2.789 -4.811 3.434 La
-0.054 -9.579 3.420 La
2.773 -8.008 4.573 Cr
-0.012 -6.427 2.280 Cr
-0.019 -9.620 6.853 Cr
-2.804 -8.040 4.560 Cr
0.012 -3.226 4.573 Cr
-2.780 -4.838 6.853 Cr
-2.792 -1.612 2.280 Ti
2.768 -11.243 2.280 Ti
-0.016 -12.850 7.993 Ba
2.776 -11.238 5.713 Ba
```


Entry two
A relaxed BaLa3TiCr3O12 crystal. Source: Materials Project, functional PBE+U.

```
BaLa3TiCr3O12
1.0
-10.895 0.423 2.458
-1.027 -3.903 -3.883
0.992 -5.734 5.383
La O Cr Ti Ba
6 24 6 2 2
Cartesian
-5.146 -6.044 3.309 La
-5.785 -3.171 0.650 La
-7.906 -1.117 3.186 La
-2.521 -1.326 1.971 La
-7.382 -3.985 5.871 La
-1.997 -4.194 4.655 La
-9.393 -8.165 4.532 O
-1.538 -1.050 -0.574 O
-1.593 -5.620 -0.031 O
0.496 -4.291 4.093 O
-4.053 -3.970 2.707 O
-1.276 -3.550 2.068 O
-5.050 -4.076 5.344 O
-9.338 -3.595 3.989 O
-4.195 -5.971 0.677 O
-8.626 -6.113 6.530 O
-4.057 -8.202 3.418 O
-4.853 -1.236 2.497 O
-6.736 -3.244 3.281 O
-2.305 -3.102 -2.571 O
-10.399 -1.021 3.748 O
-9.655 -5.665 1.890 O
-3.368 -3.265 0.104 O
-8.538 -3.064 1.271 O
-6.874 -1.013 0.540 O
-7.563 -5.950 3.854 O
-7.764 -2.985 -1.321 O
-3.166 -6.230 5.279 O
-2.393 -6.151 2.688 O
-6.877 -5.244 1.251 O
-2.777 -4.723 1.355 Cr
-4.952 -2.656 3.921 Cr
-8.153 -4.492 2.603 Cr
-7.666 -7.381 5.261 Cr
-5.448 0.211 1.229 Cr
-3.265 -1.834 -1.303 Cr
0.496 -2.867 2.691 Ti
0.000 0.000 0.000 Ti
-11.132 -2.964 1.856 Ba
0.202 -6.251 2.102 Ba
```

Properties
crystal system = monoclinic


Energetically preferred structure: entry two | next structure: +20 meV/atom


Entry one
A relaxed LiCrP3O9 crystal. Source: Materials Project, functional PBE+U.

```
LiCrP3O9
1.0
8.413 0.000 0.000
0.000 8.756 0.000
0.000 0.000 9.067
O Li P Cr
36 4 12 4
Cartesian
1.339 7.517 3.743 O
3.210 5.380 7.396 O
1.178 4.062 6.677 O
3.335 1.114 3.739 O
3.028 4.694 2.144 O
2.609 7.921 5.968 O
5.203 1.002 6.204 O
3.459 3.421 5.735 O
7.235 8.439 6.923 O
1.919 3.191 0.489 O
2.867 1.238 8.276 O
1.130 1.714 5.669 O
6.494 7.569 4.044 O
4.953 7.799 7.865 O
8.098 2.394 7.657 O
6.125 1.187 8.578 O
0.315 6.772 5.944 O
7.541 3.263 5.328 O
0.871 7.641 8.272 O
3.077 7.041 1.136 O
5.546 5.616 5.324 O
3.891 1.983 1.410 O
0.997 3.375 2.862 O
2.288 5.564 5.023 O
5.384 0.316 2.390 O
0.747 5.334 1.201 O
6.815 5.212 3.099 O
4.521 6.361 3.123 O
5.078 5.492 0.795 O
7.283 6.092 7.931 O
7.074 3.139 0.791 O
7.416 7.753 1.671 O
7.666 0.957 3.332 O
5.336 2.664 3.397 O
5.804 3.544 7.632 O
1.597 0.834 1.434 O
7.111 5.547 1.068 Li
1.301 1.169 3.466 Li
5.508 3.209 5.601 Li
2.905 7.586 7.999 Li
2.639 4.571 6.245 P
5.896 6.061 3.945 P
6.723 2.695 8.479 P
2.517 1.683 0.588 P
8.167 7.195 7.386 P
5.774 0.193 7.355 P
4.452 1.560 2.852 P
6.845 8.563 2.822 P
3.961 5.938 1.681 P
0.245 2.818 6.215 P
1.568 4.185 1.712 P
1.689 7.073 5.122 P
3.118 1.278 6.003 Cr
7.324 3.100 3.064 Cr
5.295 5.656 7.597 Cr
1.089 7.477 1.470 Cr
```

Properties
crystal system = orthorhombic


Entry two
A relaxed LiCrP3O9 crystal. Source: Materials Project, functional PBE+U.

```
LiCrP3O9
1.0
3.209 -1.705 -5.528
6.533 -1.041 -0.055
-1.022 -9.618 1.787
O P Li Cr
18 6 2 2
Cartesian
0.527 -2.877 -0.657 O
7.877 -5.730 -2.931 O
1.985 -2.209 -3.169 O
3.433 -6.626 0.951 O
5.539 -3.186 -5.102 O
4.879 -8.548 0.128 O
4.825 -4.943 -1.324 O
6.619 -10.157 -0.731 O
5.441 -2.560 -2.115 O
4.926 -2.969 0.273 O
5.325 -5.708 -4.597 O
3.431 -9.928 -1.885 O
6.893 -7.622 -1.136 O
3.587 -4.099 -3.735 O
4.159 -7.523 -2.491 O
6.350 -10.742 -3.709 O
0.618 -7.565 1.228 O
1.866 -8.288 -3.032 O
5.511 -3.635 -1.067 P
6.424 -8.740 -0.249 P
3.387 -8.767 -2.831 P
8.592 -4.664 -3.713 P
7.257 -9.638 -4.175 P
4.660 -4.385 -4.889 P
2.159 -10.572 -0.459 Li
3.048 -5.687 -0.730 Li
6.489 -1.839 -3.761 Cr
6.017 -6.640 -2.804 Cr
```

Properties
crystal system = monoclinic


Energetically preferred structure: entry one | next structure: +30 meV/atom